The following is a meta-GGA r2SCAN calculation of an optimized crystal structure of TaNi3, from the Materials Project.

a = 3.605 Å, b = 3.605 Å, c = 4.498 Å
α = 113.67°, β = 113.67°, γ = 89.89°
Fractional positions:
Ta 0.000 0.000 0.000
Ni 0.500 0.500 0.000
Ni 0.750 0.250 0.500
Ni 0.250 0.750 0.500

SG = Fmmm
E_tot = -21.46 eV per atom